Entry 1:
Density functional theory data (PBE-GGA) for a relaxed CaMg7Si8O24 crystal.

The spin magnetization is 0.001 Bohr magnetons per cell.

Unit cell a=5.299 b=8.983 c=9.550 alpha=89.69 beta=76.91 gamma=89.90
Sites, in units of the cell vectors:
Ca: 0.529 0.537 0.739
Mg: 0.522 0.154 0.749
Mg: 0.978 0.651 0.251
Mg: 0.477 0.849 0.251
Mg: 0.019 0.343 0.750
Mg: 0.971 0.012 0.251
Mg: 0.472 0.489 0.252
Mg: 0.026 0.992 0.750
Si: 0.812 0.335 0.450
Si: 0.689 0.843 0.547
Si: 0.184 0.661 0.543
Si: 0.310 0.161 0.450
Si: 0.261 0.844 0.959
Si: 0.240 0.339 0.043
Si: 0.741 0.159 0.044
Si: 0.767 0.659 0.963
O: 0.749 0.486 0.370
O: 0.747 0.987 0.634
O: 0.217 0.505 0.619
O: 0.249 0.013 0.368
O: 0.744 0.331 0.625
O: 0.759 0.845 0.372
O: 0.261 0.661 0.368
O: 0.240 0.155 0.626
O: 0.191 0.843 0.134
O: 0.302 0.334 0.868
O: 0.806 0.157 0.868
O: 0.694 0.661 0.139
O: 0.017 0.771 0.897
O: 0.490 0.270 0.105
O: 0.988 0.228 0.108
O: 0.520 0.736 0.904
O: 0.627 0.203 0.396
O: 0.873 0.710 0.599
O: 0.378 0.785 0.602
O: 0.129 0.295 0.395
O: 0.292 0.001 0.875
O: 0.209 0.499 0.122
O: 0.708 0.999 0.123
O: 0.811 0.499 0.889

=====

Entry 2:
Density functional theory data (PBE-GGA) for a relaxed HfMnAl crystal.

Unit cell a=5.091 b=5.123 c=8.365 alpha=90.00 beta=90.00 gamma=120.20
Sites, in units of the cell vectors:
Hf: 0.670 0.335 0.553
Hf: 0.342 0.671 0.425
Hf: 0.342 0.671 0.075
Hf: 0.670 0.335 0.947
Mn: 0.666 0.833 0.750
Mn: 0.815 0.634 0.250
Mn: 0.815 0.181 0.250
Mn: 0.351 0.175 0.250
Al: 0.989 0.995 0.486
Al: 0.989 0.995 0.014
Al: 0.176 0.343 0.750
Al: 0.176 0.833 0.750

=====

Entry 3:
Density functional theory data (PBE-GGA) for a relaxed RbMgRuO3 crystal.

Its energy relative to the lowest polymorph listed for this composition is 0 meV per atom. The spin magnetization is 0.000 Bohr magnetons per cell.

Unit cell a=4.013 b=5.866 c=4.013 alpha=108.59 beta=90.37 gamma=108.59
Sites, in units of the cell vectors:
Rb: 0.879 0.054 0.879
Mg: 0.185 0.664 0.185
Ru: 0.562 0.417 0.562
O: 0.622 0.536 0.115
O: 0.370 0.043 0.370
O: 0.115 0.536 0.622

=====

Entry 4:
Density functional theory data (PBE-GGA) for a relaxed Ti2CoOs crystal.

Unit cell a=4.315 b=4.315 c=4.315 alpha=60.00 beta=120.00 gamma=120.00
Sites, in units of the cell vectors:
Ti: 0.000 0.000 0.000
Ti: 0.500 0.500 0.500
Co: 0.750 0.250 0.250
Os: 0.250 0.750 0.750

=====

Entry 5:
Density functional theory data (PBE-GGA) for a relaxed TaCo2 crystal.

Unit cell a=4.761 b=4.761 c=7.763 alpha=90.00 beta=90.00 gamma=120.00
Sites, in units of the cell vectors:
Ta: 0.333 0.667 0.066
Ta: 0.667 0.333 0.934
Ta: 0.333 0.667 0.434
Ta: 0.667 0.333 0.566
Co: 0.832 0.168 0.250
Co: 0.335 0.168 0.250
Co: 0.168 0.832 0.750
Co: 0.168 0.335 0.750
Co: 0.832 0.665 0.250
Co: 0.000 0.000 0.000
Co: 0.665 0.832 0.750
Co: 0.000 0.000 0.500

=====

Entry 6:
Density functional theory data (PBE-GGA) for a relaxed Y3Se4 crystal.

Unit cell a=8.138 b=8.138 c=13.990 alpha=73.59 beta=73.59 gamma=60.48
Sites, in units of the cell vectors:
Y: 0.743 0.261 0.746
Y: 0.261 0.743 0.746
Y: 0.000 0.000 0.500
Y: 0.255 0.255 0.746
Y: 0.000 0.500 0.500
Y: 0.739 0.257 0.254
Y: 0.500 0.000 0.500
Y: 0.257 0.739 0.254
Y: 0.000 0.000 0.000
Y: 0.745 0.745 0.254
Y: 0.500 0.000 0.000
Y: 0.000 0.500 0.000
Se: 0.123 0.628 0.626
Se: 0.628 0.123 0.626
Se: 0.372 0.372 0.376
Se: 0.875 0.875 0.374
Se: 0.630 0.118 0.125
Se: 0.125 0.125 0.626
Se: 0.372 0.877 0.374
Se: 0.875 0.875 0.872
Se: 0.118 0.630 0.125
Se: 0.628 0.628 0.624
Se: 0.377 0.377 0.878
Se: 0.877 0.372 0.374
Se: 0.623 0.623 0.122
Se: 0.882 0.370 0.875
Se: 0.125 0.125 0.128
Se: 0.370 0.882 0.875

=====

Entry 7:
Density functional theory data (PBE-GGA) for a relaxed Te6Mo3WS2 crystal.

Its energy relative to the lowest polymorph listed for this composition is 32 meV per atom. The spin magnetization is 0.003 Bohr magnetons per cell.

Unit cell a=3.459 b=3.459 c=39.242 alpha=90.00 beta=90.00 gamma=120.00
Sites, in units of the cell vectors:
Te: 0.000 0.000 0.705
Te: 0.333 0.667 0.047
Te: 0.333 0.667 0.422
Te: 0.333 0.667 0.141
Te: 0.333 0.667 0.517
Te: 0.000 0.000 0.610
Mo: 0.000 0.000 0.094
Mo: 0.333 0.667 0.282
Mo: 0.333 0.667 0.658
W: 0.000 0.000 0.470
S: 0.000 0.000 0.320
S: 0.000 0.000 0.244

=====

Entry 8:
Density functional theory data (PBE-GGA) for a relaxed Ba2H4Pd crystal.

The spin magnetization is 0.000 Bohr magnetons per cell.

Unit cell a=5.813 b=8.143 c=10.285 alpha=90.00 beta=90.00 gamma=90.00
Sites, in units of the cell vectors:
Ba: 0.250 0.853 0.405
Ba: 0.250 0.353 0.095
Ba: 0.750 0.147 0.595
Ba: 0.750 0.647 0.905
Ba: 0.250 0.011 0.833
Ba: 0.250 0.511 0.667
Ba: 0.750 0.989 0.167
Ba: 0.750 0.489 0.333
H: 0.250 0.175 0.580
H: 0.250 0.675 0.920
H: 0.750 0.825 0.420
H: 0.750 0.325 0.080
H: 0.250 0.476 0.392
H: 0.250 0.976 0.108
H: 0.750 0.524 0.608
H: 0.750 0.024 0.892
H: 0.994 0.179 0.344
H: 0.506 0.679 0.156
H: 0.494 0.821 0.656
H: 0.006 0.321 0.844
H: 0.006 0.821 0.656
H: 0.494 0.321 0.844
H: 0.506 0.179 0.344
H: 0.994 0.679 0.156
Pd: 0.250 0.258 0.417
Pd: 0.250 0.758 0.083
Pd: 0.750 0.742 0.583
Pd: 0.750 0.242 0.917

=====

Entry 9:
Density functional theory data (PBE-GGA) for a relaxed TlBrO3 crystal.

The spin magnetization is 0.000 Bohr magnetons per cell.

Unit cell a=3.658 b=7.079 c=4.212 alpha=87.67 beta=115.74 gamma=95.38
Sites, in units of the cell vectors:
Tl: 0.889 0.007 0.000
Br: 0.244 0.557 0.000
O: 0.366 0.820 0.000
O: 0.233 0.185 0.457
O: 0.776 0.185 0.543

=====

Entry 10:
Density functional theory data (PBE-GGA) for a relaxed Nd2Si2O7 crystal.

The spin magnetization is 0.002 Bohr magnetons per cell.

Unit cell a=6.823 b=6.737 c=12.952 alpha=71.11 beta=90.00 gamma=90.00
Sites, in units of the cell vectors:
Nd: 0.822 0.144 0.155
Nd: 0.322 0.856 0.345
Nd: 0.178 0.856 0.845
Nd: 0.678 0.144 0.655
Nd: 0.608 0.471 0.861
Nd: 0.108 0.529 0.639
Nd: 0.392 0.529 0.139
Nd: 0.892 0.471 0.361
Si: 0.921 0.706 0.108
Si: 0.421 0.294 0.392
Si: 0.079 0.294 0.892
Si: 0.579 0.706 0.608
Si: 0.672 0.896 0.914
Si: 0.172 0.104 0.586
Si: 0.328 0.104 0.086
Si: 0.828 0.896 0.414
O: 0.105 0.663 0.039
O: 0.605 0.337 0.461
O: 0.895 0.337 0.961
O: 0.395 0.663 0.539
O: 0.826 0.799 0.846
O: 0.326 0.201 0.654
O: 0.174 0.201 0.154
O: 0.674 0.799 0.346
O: 0.588 0.123 0.842
O: 0.088 0.877 0.658
O: 0.412 0.877 0.158
O: 0.912 0.123 0.342
O: 0.987 0.792 0.208
O: 0.487 0.208 0.292
O: 0.013 0.208 0.792
O: 0.513 0.792 0.708
O: 0.719 0.902 0.529
O: 0.219 0.098 0.971
O: 0.281 0.098 0.471
O: 0.781 0.902 0.029
O: 0.010 0.725 0.450
O: 0.510 0.275 0.050
O: 0.990 0.275 0.550
O: 0.490 0.725 0.950
O: 0.720 0.501 0.665
O: 0.220 0.499 0.835
O: 0.280 0.499 0.335
O: 0.780 0.501 0.165

=====

Entry 11:
Density functional theory data (PBE-GGA) for a relaxed BBr crystal.

For the largest piezoelectric modulus, the calculation gives 0.09 C/m².

Unit cell a=9.945 b=10.018 c=10.091 alpha=87.30 beta=86.55 gamma=85.74
Sites, in units of the cell vectors:
B: 0.871 0.735 0.742
B: 0.800 0.789 0.592
B: 0.790 0.591 0.799
B: 0.740 0.871 0.736
B: 0.734 0.743 0.869
B: 0.761 0.623 0.630
B: 0.623 0.633 0.759
B: 0.629 0.761 0.624
B: 0.587 0.803 0.790
B: 0.407 0.202 0.210
B: 0.368 0.240 0.376
B: 0.368 0.371 0.242
B: 0.238 0.377 0.377
B: 0.258 0.130 0.266
B: 0.260 0.263 0.134
B: 0.197 0.411 0.211
B: 0.197 0.211 0.412
B: 0.123 0.261 0.261
Br: 0.882 0.863 0.434
Br: 0.936 0.237 0.236
Br: 0.865 0.431 0.881
Br: 0.795 0.486 0.503
Br: 0.765 0.058 0.756
Br: 0.750 0.768 0.056
Br: 0.570 0.119 0.134
Br: 0.502 0.795 0.489
Br: 0.486 0.508 0.795
Br: 0.501 0.501 0.203
Br: 0.498 0.205 0.510
Br: 0.426 0.888 0.864
Br: 0.242 0.244 0.946
Br: 0.237 0.942 0.244
Br: 0.207 0.511 0.507
Br: 0.059 0.753 0.769
Br: 0.115 0.136 0.570
Br: 0.116 0.571 0.135

=====

Entry 12:
Density functional theory data (PBE-GGA) for a relaxed GdSbPt crystal.

The spin magnetization is 6.996 Bohr magnetons per cell.

Unit cell a=4.771 b=4.771 c=4.771 alpha=60.00 beta=60.00 gamma=60.00
Sites, in units of the cell vectors:
Gd: 0.000 0.000 0.000
Sb: 0.250 0.250 0.250
Pt: 0.500 0.500 0.500

=====

| no. | ΔH_f (0 K) (meV/atom) |
| --- | --- |
| 1 | -3249 |
| 2 | -357 |
| 3 | -1667 |
| 4 | -560 |
| 5 | -213 |
| 6 | -2114 |
| 7 | -400 |
| 8 | -516 |
| 9 | -162 |
| 10 | -3603 |
| 11 | -609 |
| 12 | -665 |